A plane-wave DFT calculation with GGA-PBE was carried out for a relaxed structure of LaNi3B. Values from VASP.

Structure (Quantum ESPRESSO input):
```
&SYSTEM
  ibrav = 0, nat = 10, ntyp = 3
/
ATOMIC_SPECIES
La 138.91 La.upf
Ni 58.69 Ni.upf
B 10.81 B.upf
CELL_PARAMETERS angstrom
-0.9297 -5.4624 2.2871
-2.2529 2.7218 4.8425
-1.8804 -0.1278 -5.6904
ATOMIC_POSITIONS angstrom
La -2.5164 -2.9595 3.2126
La -2.5466 0.0911 -1.7734
Ni 0.0000 0.0000 0.0000
Ni -1.8452 -1.8643 -3.9413
Ni -0.9649 -3.7259 0.5380
Ni -1.4051 -2.7951 -1.7017
Ni -3.0316 -2.4289 0.1140
Ni -2.0315 -0.4395 1.3252
B -3.9422 -1.1106 1.3529
B -1.1209 -1.7578 0.0863
```

Calculated values
* DFT formation energy: -213 kJ/mol of formula units
* total energy: -62.33 eV/cell
* symmetry: No. 74